# 1
The following is a PBE+U calculation of LiVSi6O15 after structural relaxation, from the Materials Project database.

## Properties
As for the symmetry: Cmce, No. 64. The formation energy comes out at -69.8 eV/f.u. As for the spin magnetization: 0.0 μB/cell.

Cell: 11.1718 11.1718 9.9996 Å, 90.00 90.00 100.04°
Last column: nearest neighbours and their distance in Å.
Sites, in units of the cell vectors:
1 Li 0.2483 0.2483 0.0000  4 O 1.99-2.02
2 Li 0.2517 0.2517 0.5000  4 O 1.99-2.02
3 Li 0.7483 0.7483 0.5000  4 O 1.99-2.02
4 Li 0.7517 0.7517 0.0000  4 O 1.99-2.02
5 V 0.3434 0.1566 0.2500  6 O 1.82-1.95
6 V 0.1566 0.3434 0.7500  6 O 1.82-1.95
7 V 0.8434 0.6566 0.2500  6 O 1.82-1.95
8 V 0.6566 0.8434 0.7500  6 O 1.82-1.95
9 Si 0.7594 0.0244 0.4907  4 O 1.62-1.63
10 Si 0.7079 0.0763 0.9555  4 O 1.62-1.64
11 Si 0.1754 0.0459 0.8032  4 O 1.62-1.64
12 Si 0.9756 0.2406 0.4907  4 O 1.62-1.63
13 Si 0.5763 0.2079 0.4555  4 O 1.62-1.64
14 Si 0.9237 0.2921 0.9555  4 O 1.62-1.64
15 Si 0.5244 0.2594 0.9907  4 O 1.62-1.63
16 Si 0.0459 0.1754 0.1968  4 O 1.62-1.64
17 Si 0.4541 0.3246 0.6968  4 O 1.62-1.64
18 Si 0.7921 0.4237 0.4555  4 O 1.62-1.64
19 Si 0.7406 0.4756 0.9907  4 O 1.62-1.63
20 Si 0.3246 0.4541 0.3032  4 O 1.62-1.64
21 Si 0.6754 0.5459 0.6968  4 O 1.62-1.64
22 Si 0.2594 0.5244 0.0093  4 O 1.62-1.63
23 Si 0.2079 0.5763 0.5445  4 O 1.62-1.64
24 Si 0.5459 0.6754 0.3032  4 O 1.62-1.64
25 Si 0.9541 0.8246 0.8032  4 O 1.62-1.64
26 Si 0.4756 0.7406 0.0093  4 O 1.62-1.63
27 Si 0.0763 0.7079 0.0445  4 O 1.62-1.64
28 Si 0.4237 0.7921 0.5445  4 O 1.62-1.64
29 Si 0.0244 0.7594 0.5093  4 O 1.62-1.63
30 Si 0.8246 0.9541 0.1968  4 O 1.62-1.64
31 Si 0.2921 0.9237 0.0445  4 O 1.62-1.64
32 Si 0.2406 0.9756 0.5093  4 O 1.62-1.63
33 O 0.6595 0.9917 0.8261  1 Si 1.64, 1 V 1.82
34 O 0.9569 0.0431 0.1911  2 Si 1.63
35 O 0.8904 0.1096 0.5220  2 Si 1.63
36 O 0.2636 0.0090 0.9212  2 Si 1.62-1.64
37 O 0.2410 0.0314 0.6602  2 Si 1.63
38 O 0.6507 0.1031 0.5044  2 Si 1.62
39 O 0.8299 0.1701 0.9109  2 Si 1.63
40 O 0.4917 0.1595 0.3261  1 Si 1.64, 1 V 1.82
41 O 0.2615 0.0920 0.4086  1 Si 1.63
42 O 0.6031 0.1507 0.0044  2 Si 1.62
43 O 0.1865 0.1645 0.1686  1 Si 1.62
44 O 0.4910 0.2364 0.5788  2 Si 1.62-1.64
45 O 0.1645 0.1865 0.8314  1 Si 1.62
46 O 0.4686 0.2590 0.8398  2 Si 1.63
47 O 0.4080 0.2385 0.0914  1 Si 1.63
48 O 0.8969 0.3493 0.5044  2 Si 1.62
49 O 0.0083 0.3405 0.8261  1 Si 1.64, 1 V 1.82
50 O 0.6701 0.3299 0.4109  2 Si 1.63
51 O 0.0920 0.2615 0.5914  1 Si 1.63
52 O 0.8493 0.3969 0.0044  2 Si 1.62
53 O 0.0314 0.2410 0.3398  2 Si 1.63
54 O 0.3355 0.3135 0.3314  1 Si 1.62
55 O 0.0090 0.2636 0.0788  2 Si 1.62-1.64
56 O 0.3135 0.3355 0.6686  1 Si 1.62
57 O 0.6096 0.3904 0.0220  2 Si 1.63
58 O 0.5431 0.4569 0.6911  2 Si 1.63
59 O 0.8405 0.5083 0.3261  1 Si 1.64, 1 V 1.82
60 O 0.2385 0.4080 0.9086  1 Si 1.63
61 O 0.7636 0.5090 0.5788  2 Si 1.62-1.64
62 O 0.7410 0.5314 0.8398  2 Si 1.63
63 O 0.2590 0.4686 0.1602  2 Si 1.63
64 O 0.2364 0.4910 0.4212  2 Si 1.62-1.64
65 O 0.7615 0.5920 0.0914  1 Si 1.63
66 O 0.1595 0.4917 0.6739  1 Si 1.64, 1 V 1.82
67 O 0.4569 0.5431 0.3089  2 Si 1.63
68 O 0.3904 0.6096 0.9780  2 Si 1.63
69 O 0.6865 0.6645 0.3314  1 Si 1.62
70 O 0.9910 0.7364 0.9212  2 Si 1.62-1.64
71 O 0.6645 0.6865 0.6686  1 Si 1.62
72 O 0.9686 0.7590 0.6602  2 Si 1.63
73 O 0.1507 0.6031 0.9956  2 Si 1.62
74 O 0.9080 0.7385 0.4086  1 Si 1.63
75 O 0.3299 0.6701 0.5891  2 Si 1.63
76 O 0.9917 0.6595 0.1739  1 Si 1.64, 1 V 1.82
77 O 0.1031 0.6507 0.4956  2 Si 1.62
78 O 0.5920 0.7615 0.9086  1 Si 1.63
79 O 0.5314 0.7410 0.1602  2 Si 1.63
80 O 0.8355 0.8135 0.1686  1 Si 1.62
81 O 0.5090 0.7636 0.4212  2 Si 1.62-1.64
82 O 0.8135 0.8355 0.8314  1 Si 1.62
83 O 0.3969 0.8493 0.9956  2 Si 1.62
84 O 0.7385 0.9080 0.5914  1 Si 1.63
85 O 0.5083 0.8405 0.6739  1 Si 1.64, 1 V 1.82
86 O 0.1701 0.8299 0.0891  2 Si 1.63
87 O 0.3493 0.8969 0.4956  2 Si 1.62
88 O 0.7590 0.9686 0.3398  2 Si 1.63
89 O 0.7364 0.9910 0.0788  2 Si 1.62-1.64
90 O 0.1096 0.8904 0.4780  2 Si 1.63
91 O 0.0431 0.9569 0.8089  2 Si 1.63
92 O 0.3405 0.0083 0.1739  1 Si 1.64, 1 V 1.82

# 2
The following is a PBE+U calculation of Li3VSi3O9 after structural relaxation, from the Materials Project database.

## Properties
As for the symmetry: Pmn2_1, No. 31. The formation energy comes out at -45.5 eV/f.u. As for the spin magnetization: 8.0 μB/cell.

Cell: 5.3756 11.7993 12.7391 Å, 90.00 90.00 90.00°
Last column: nearest neighbours and their distance in Å.
Sites, in units of the cell vectors:
1 Li 0.8292 0.9377 0.0000  2 O 1.92
2 Li 0.1803 0.6026 0.0000  2 O 2.10
3 Li 0.8412 0.1418 0.0000  4 O 2.00-2.08
4 Li 0.3263 0.4006 0.0000  3 O 1.92-2.09
5 Li 0.3266 0.8335 0.7536  3 O 1.93-2.04
6 Li 0.6734 0.3335 0.7464  3 O 1.93-2.04
7 Li 0.1708 0.4377 0.5000  2 O 1.92
8 Li 0.6737 0.9006 0.5000  3 O 1.92-2.09
9 Li 0.1588 0.6418 0.5000  4 O 2.00-2.08
10 Li 0.8197 0.1026 0.5000  2 O 2.10
11 Li 0.6734 0.3335 0.2536  3 O 1.93-2.04
12 Li 0.3266 0.8335 0.2464  3 O 1.93-2.04
13 V 0.8734 0.0443 0.7736  5 O 1.99-2.11
14 V 0.1266 0.5443 0.7264  5 O 1.99-2.11
15 V 0.1266 0.5443 0.2736  5 O 1.99-2.11
16 V 0.8734 0.0443 0.2264  5 O 1.99-2.11
17 Si 0.3506 0.1642 0.8867  4 O 1.60-1.69
18 Si 0.6396 0.5375 0.8830  4 O 1.62-1.68
19 Si 0.8369 0.7629 0.8111  4 O 1.60-1.68
20 Si 0.1631 0.2629 0.6889  4 O 1.60-1.68
21 Si 0.3604 0.0375 0.6170  4 O 1.62-1.68
22 Si 0.6494 0.6642 0.6133  4 O 1.60-1.69
23 Si 0.6494 0.6642 0.3867  4 O 1.60-1.69
24 Si 0.3604 0.0375 0.3830  4 O 1.62-1.68
25 Si 0.1631 0.2629 0.3111  4 O 1.60-1.68
26 Si 0.8369 0.7629 0.1889  4 O 1.60-1.68
27 Si 0.6396 0.5375 0.1170  4 O 1.62-1.68
28 Si 0.3506 0.1642 0.1133  4 O 1.60-1.69
29 O 0.7247 0.4848 0.0000  2 Si 1.68
30 O 0.3642 0.2389 0.0000  2 Si 1.69
31 O 0.0899 0.0961 0.8907  1 Si 1.62
32 O 0.6047 0.0939 0.8781  1 Si 1.60
33 O 0.6923 0.6749 0.8917  2 Si 1.65
34 O 0.3402 0.5136 0.8739  1 Si 1.64
35 O 0.8130 0.4767 0.7960  1 Si 1.62
36 O 0.3445 0.2658 0.7962  2 Si 1.66-1.68
37 O 0.8371 0.8901 0.8559  1 Si 1.60
38 O 0.1087 0.7090 0.7868  1 Si 1.62
39 O 0.8913 0.2090 0.7132  1 Si 1.62
40 O 0.1629 0.3901 0.6441  1 Si 1.60
41 O 0.6555 0.7658 0.7038  2 Si 1.66-1.68
42 O 0.1870 0.9767 0.7040  1 Si 1.62
43 O 0.6598 0.0136 0.6261  1 Si 1.64
44 O 0.3077 0.1749 0.6083  2 Si 1.65
45 O 0.3953 0.5939 0.6219  1 Si 1.60
46 O 0.9101 0.5961 0.6093  1 Si 1.62
47 O 0.6358 0.7389 0.5000  2 Si 1.69
48 O 0.2753 0.9848 0.5000  2 Si 1.68
49 O 0.9101 0.5961 0.3907  1 Si 1.62
50 O 0.3953 0.5939 0.3781  1 Si 1.60
51 O 0.3077 0.1749 0.3917  2 Si 1.65
52 O 0.6598 0.0136 0.3739  1 Si 1.64
53 O 0.1870 0.9767 0.2960  1 Si 1.62
54 O 0.6555 0.7658 0.2962  2 Si 1.66-1.68
55 O 0.1629 0.3901 0.3559  1 Si 1.60
56 O 0.8913 0.2090 0.2868  1 Si 1.62
57 O 0.1087 0.7090 0.2132  1 Si 1.62
58 O 0.8371 0.8901 0.1441  1 Si 1.60
59 O 0.3445 0.2658 0.2038  2 Si 1.66-1.68
60 O 0.8130 0.4767 0.2040  1 Si 1.62
61 O 0.3402 0.5136 0.1261  1 Si 1.64
62 O 0.6923 0.6749 0.1083  2 Si 1.65
63 O 0.6047 0.0939 0.1219  1 Si 1.60
64 O 0.0899 0.0961 0.1093  1 Si 1.62

# 3
The following is a PBE+U calculation of LiVSi3O8 after structural relaxation, from the Materials Project database.

## Properties
The formation energy comes out at -38.8 eV/f.u. For the energy above the most stable polymorph in this dataset, the calculation gives 0 kJ/mol of formula units. As for the spin magnetization: 0.0 μB/cell.

Cell: 7.1937 12.7998 8.0908 Å, 92.35 65.75 98.99°
Last column: nearest neighbours and their distance in Å.
Sites, in units of the cell vectors:
1 Li 0.1804 0.4651 0.2124  4 O 2.01-2.17
2 Li 0.1801 0.9653 0.7126  4 O 2.01-2.17
3 Li 0.8196 0.5349 0.7876  4 O 2.01-2.17
4 Li 0.8199 0.0347 0.2874  4 O 2.01-2.17
5 V 0.8083 0.3481 0.5021  4 O 1.91-1.96
6 V 0.1917 0.6519 0.4978  4 O 1.91-1.96
7 V 0.8082 0.8482 0.0019  4 O 1.91-1.95
8 V 0.1918 0.1518 0.9980  4 O 1.91-1.95
9 Si 0.7188 0.3976 0.1734  4 O 1.62-1.66
10 Si 0.7187 0.8975 0.6733  4 O 1.62-1.66
11 Si 0.2812 0.6025 0.8266  4 O 1.62-1.66
12 Si 0.2813 0.1025 0.3267  4 O 1.62-1.66
13 Si 0.6196 0.6151 0.1716  4 O 1.62-1.67
14 Si 0.6196 0.1152 0.6716  4 O 1.62-1.67
15 Si 0.3804 0.3849 0.8284  4 O 1.62-1.67
16 Si 0.3804 0.8848 0.3284  4 O 1.62-1.67
17 Si 0.7345 0.1796 0.0069  4 O 1.62-1.64
18 Si 0.7345 0.6796 0.5068  4 O 1.62-1.64
19 Si 0.2655 0.8204 0.9931  4 O 1.62-1.64
20 Si 0.2655 0.3204 0.4932  4 O 1.62-1.64
21 O 0.8816 0.4166 0.2673  1 Si 1.62
22 O 0.8815 0.9166 0.7673  1 Si 1.62
23 O 0.1184 0.5834 0.7327  1 Si 1.62
24 O 0.1185 0.0834 0.2327  1 Si 1.62
25 O 0.7281 0.6534 0.3107  2 Si 1.63
26 O 0.7281 0.1533 0.8108  2 Si 1.63
27 O 0.2719 0.3466 0.6893  2 Si 1.63
28 O 0.2719 0.8467 0.1892  2 Si 1.63
29 O 0.4920 0.3632 0.3359  2 Si 1.63
30 O 0.4918 0.8633 0.8358  2 Si 1.63
31 O 0.5080 0.6368 0.6641  2 Si 1.63
32 O 0.5082 0.1367 0.1642  2 Si 1.63
33 O 0.3685 0.5876 0.2805  1 Si 1.64
34 O 0.3685 0.0877 0.7804  1 Si 1.64
35 O 0.6315 0.4124 0.7195  1 Si 1.64
36 O 0.6315 0.9123 0.2196  1 Si 1.64
37 O 0.9047 0.1228 0.0367  1 Si 1.62
38 O 0.9046 0.6229 0.5367  1 Si 1.62
39 O 0.0953 0.8772 0.9633  1 Si 1.62
40 O 0.0954 0.3771 0.4633  1 Si 1.62
41 O 0.7096 0.5054 0.0723  2 Si 1.66-1.67
42 O 0.7096 0.0055 0.5722  2 Si 1.66-1.67
43 O 0.2904 0.4946 0.9277  2 Si 1.66-1.67
44 O 0.2904 0.9945 0.4278  2 Si 1.66-1.67
45 O 0.7791 0.3087 0.0178  2 Si 1.63-1.64
46 O 0.7790 0.8087 0.5177  2 Si 1.63-1.64
47 O 0.2209 0.6913 0.9822  2 Si 1.63-1.64
48 O 0.2210 0.1913 0.4823  2 Si 1.63-1.64
49 O 0.6963 0.7019 0.0073  1 Si 1.62
50 O 0.6963 0.2019 0.5074  1 Si 1.62
51 O 0.3037 0.2981 0.9927  1 Si 1.62
52 O 0.3037 0.7981 0.4926  1 Si 1.62

We obtain energy with MP2020 corrections values of -8.1549, -7.5712, -8.1275 eV/atom for the records listed above, in that order.